Record 1
Computed, not measured: a relaxed structure of DyZn2 at the PBE level of DFT.

* energy: -33.22 eV per cell

Unit cell a=4.5096 b=7.1535 c=7.4682 alpha=90.00 beta=90.00 gamma=90.00
Space group Imma (No. 74)
Symmetry-distinct sites (fractional):
1 Dy 0.0000 0.2500 0.0359 (multiplicity 4)
2 Zn 0.0000 0.0486 0.6663 (multiplicity 8)

Record 2
Computed, not measured: a relaxed structure of RbCuF3 at the PBE level of DFT.

* energy: -21.07 eV per cell

Unit cell a=4.1412 b=4.1412 c=4.1412 alpha=90.00 beta=90.00 gamma=90.00
Space group Pm-3m (No. 221)
Symmetry-distinct sites (fractional):
1 Rb 0.0000 0.0000 0.0000 (multiplicity 1)
2 Cu 0.5000 0.5000 0.5000 (multiplicity 1)
3 F 0.0000 0.5000 0.5000 (multiplicity 3)

Record 3
Computed, not measured: a relaxed structure of CsI3 at the PBE level of DFT.

* energy: -35.19 eV per cell

Unit cell a=11.3180 b=7.2266 c=10.4659 alpha=90.00 beta=90.00 gamma=90.00
Space group Pnma (No. 62)
Symmetry-distinct sites (fractional):
1 Cs 0.1772 0.2500 0.0294 (multiplicity 4)
2 I 0.0647 0.7500 0.2638 (multiplicity 4)
3 I 0.1297 0.2500 0.5553 (multiplicity 4)
4 I 0.1682 0.7500 0.8675 (multiplicity 4)

Record 4
Computed, not measured: a relaxed structure of SmGdSe2 at the PBE level of DFT.

* energy: -99.42 eV per cell

Unit cell a=4.1559 b=4.1559 c=20.5267 alpha=90.00 beta=90.00 gamma=120.00
Space group R-3m (No. 166, hexagonal axes)
Symmetry-distinct sites (fractional):
1 Sm 0.0000 0.0000 0.0000 (multiplicity 3)
2 Gd 0.0000 0.0000 0.5000 (multiplicity 3)
3 Se 0.0000 0.0000 0.2493 (multiplicity 6)

Copy entry 2 word for word.
Computed, not measured: a relaxed structure of RbCuF3 at the PBE level of DFT.

* energy: -21.07 eV per cell

Unit cell a=4.1412 b=4.1412 c=4.1412 alpha=90.00 beta=90.00 gamma=90.00
Space group Pm-3m (No. 221)
Symmetry-distinct sites (fractional):
1 Rb 0.0000 0.0000 0.0000 (multiplicity 1)
2 Cu 0.5000 0.5000 0.5000 (multiplicity 1)
3 F 0.0000 0.5000 0.5000 (multiplicity 3)